No. 1
Compound: MgV4O8
Source: the Materials Project
Functional: PBE+U
Structure: relaxed

Geometry as POSCAR:
```
MgV4O8
1.0
3.060 0.000 0.000
0.000 5.149 -0.024
0.000 -0.042 9.289
V Mg O
4 1 8
direct
0.250 0.457 0.640
0.250 0.039 0.136
0.750 0.534 0.341
0.750 0.959 0.866
0.750 0.942 0.559
0.750 0.193 0.015
0.750 0.671 0.728
0.250 0.806 0.971
0.250 0.110 0.740
0.250 0.336 0.252
0.750 0.859 0.226
0.750 0.311 0.517
0.250 0.727 0.473
```

Properties
**Calculated density**: 4040 kg/m3
**Relative energy among the computed polymorphs**: 0.001 eV per atom
**ΔH_f (0 K)**: -2.5417 eV/atom


No. 2
Compound: MgFe8O14F2
Source: the Materials Project
Functional: PBE+U
Structure: relaxed

Geometry as POSCAR:
```
MgFe8O14F2
1.0
4.821 -0.022 -0.017
-0.022 4.839 -0.012
-0.043 -0.030 11.825
Fe F O Mg
8 2 14 1
direct
0.003 0.996 0.006
0.497 0.486 0.635
0.502 0.491 0.378
0.501 0.497 0.121
0.466 0.524 0.877
0.034 0.021 0.505
0.998 0.996 0.253
0.001 0.988 0.748
0.696 0.710 0.501
0.799 0.196 0.881
0.165 0.778 0.368
0.199 0.801 0.625
0.299 0.308 0.760
0.340 0.286 0.246
0.817 0.192 0.628
0.680 0.689 0.757
0.840 0.216 0.135
0.665 0.706 0.248
0.850 0.224 0.369
0.311 0.307 0.002
0.672 0.697 0.002
0.170 0.813 0.879
0.158 0.778 0.136
0.336 0.304 0.503
0.004 0.497 0.249
```

Properties
**Calculated density**: 4412 kg/m3
**Relative energy among the computed polymorphs**: 0.052 eV per atom
**ΔH_f (0 K)**: -1.5843 eV/atom


No. 3
Compound: Li7Co5O12
Source: the Materials Project
Functional: PBE+U
Structure: relaxed

Geometry as POSCAR:
```
Li7Co5O12
1.0
2.924 0.000 0.000
-1.417 6.248 0.000
-0.420 -2.994 11.443
O Co Li
12 5 7
direct
0.158 0.855 0.789
0.184 0.839 0.552
0.510 0.525 0.633
0.842 0.145 0.211
0.180 0.818 0.046
0.521 0.515 0.111
0.164 0.844 0.279
0.816 0.161 0.448
0.490 0.475 0.367
0.836 0.156 0.721
0.479 0.485 0.889
0.820 0.182 0.954
0.341 0.184 0.340
0.659 0.816 0.660
0.000 0.500 0.000
0.672 0.833 0.165
0.328 0.167 0.835
0.992 0.500 0.253
0.659 0.826 0.420
0.341 0.174 0.580
0.667 0.835 0.915
0.008 0.500 0.747
0.000 0.500 0.500
0.333 0.165 0.085
```

Properties
**Calculated density**: 4251 kg/m3
**Relative energy among the computed polymorphs**: 0.060 eV per atom
**ΔH_f (0 K)**: -1.7026 eV/atom


No. 4
Compound: LiFeO3
Source: the Materials Project
Functional: PBE+U
Structure: relaxed

Geometry as POSCAR:
```
LiFeO3
1.0
-4.484 -1.636 -1.110
1.858 -2.431 -3.920
1.238 -6.544 4.645
O Fe Li
12 4 4
direct
0.804 0.571 0.919
0.304 0.429 0.419
0.250 0.903 0.250
0.304 0.929 0.581
0.804 0.071 0.081
0.750 0.097 0.750
0.750 0.597 0.250
0.250 0.403 0.750
0.196 0.929 0.919
0.196 0.429 0.081
0.696 0.571 0.581
0.696 0.071 0.419
0.500 0.250 0.595
0.500 0.750 0.405
0.000 0.750 0.095
0.000 0.250 0.905
0.000 0.750 0.697
0.500 0.750 0.803
0.500 0.250 0.197
0.000 0.250 0.303
```

Properties
**Calculated density**: 3719 kg/m3
**ΔH_f (0 K)**: -1.4163 eV/atom


No. 5
Compound: Ba2V2Te2O11
Source: the Materials Project
Functional: PBE+U
Structure: relaxed

Geometry as POSCAR:
```
Ba2V2Te2O11
1.0
7.787 0.000 0.000
0.000 7.697 0.000
0.000 0.616 9.691
O V Ba Te
22 4 4 4
direct
0.750 0.693 0.852
0.067 0.696 0.948
0.250 0.820 0.185
0.750 0.116 0.380
0.433 0.696 0.948
0.075 0.204 0.644
0.250 0.017 0.936
0.250 0.307 0.148
0.520 0.419 0.321
0.575 0.796 0.356
0.480 0.581 0.679
0.250 0.162 0.390
0.250 0.884 0.620
0.933 0.304 0.052
0.020 0.581 0.679
0.980 0.419 0.321
0.750 0.180 0.815
0.425 0.204 0.644
0.750 0.838 0.610
0.750 0.983 0.064
0.567 0.304 0.052
0.925 0.796 0.356
0.750 0.890 0.423
0.750 0.184 0.988
0.250 0.110 0.577
0.250 0.816 0.012
0.250 0.369 0.858
0.750 0.631 0.142
0.750 0.366 0.572
0.250 0.634 0.428
0.964 0.787 0.760
0.464 0.213 0.240
0.536 0.787 0.760
0.036 0.213 0.240
```

Properties
**Calculated density**: 4619 kg/m3
**ΔH_f (0 K)**: -2.4172 eV/atom


No. 6
Compound: Li2MnP2O7
Source: the Materials Project
Functional: PBE+U
Structure: relaxed

Geometry as POSCAR:
```
Li2MnP2O7
1.0
5.378 0.000 0.000
0.670 6.257 0.000
0.436 2.808 8.290
O P Mn Li
14 4 2 4
direct
0.864 0.529 0.341
0.584 0.273 0.238
0.276 0.075 0.837
0.763 0.292 0.955
0.724 0.925 0.163
0.416 0.727 0.762
0.238 0.166 0.526
0.136 0.471 0.659
0.410 0.704 0.350
0.590 0.296 0.650
0.237 0.708 0.045
0.049 0.169 0.199
0.951 0.831 0.801
0.762 0.834 0.474
0.783 0.188 0.137
0.307 0.266 0.655
0.693 0.734 0.345
0.217 0.812 0.863
0.773 0.573 0.731
0.227 0.427 0.269
0.754 0.194 0.463
0.246 0.806 0.537
0.722 0.063 0.852
0.278 0.937 0.148
```

Properties
**Calculated density**: 2890 kg/m3
**Relative energy among the computed polymorphs**: 0.040 eV per atom
**ΔH_f (0 K)**: -2.6315 eV/atom


Q: What is the formula in the first record?
A: MgV4O8


Q: Which value of ΔH_f (0 K) does entry 2 give?
A: -1.5843 eV/atom


Q: Which of these has the lowest ΔH_f (0 K)?
A: Li2MnP2O7